1.
36
Lattice="4.3649 2.5201 6.8429 -4.3649 2.5201 6.8429 0.0000 -5.0402 6.8429" Properties=species:S:1:pos:R:3 comment="GGA+U VCr2Fe3P6O24, relaxed" crystal_system=trigonal formation_energy_ev_per_atom=-2.42 energy_corrected_mp2020_ev_per_atom=-8.11 pbc="T T T"
V 0.0000 0.0000 0.0000
Cr 0.0000 0.0000 7.3065
Cr 0.0000 0.0000 17.5771
Fe 0.0000 0.0000 4.3079
Fe 0.0000 0.0000 10.3120
Fe 0.0000 0.0000 14.5877
P -3.0633 0.2758 9.0217
P -1.2933 -2.2545 12.4592
P 1.2928 -2.7908 9.0217
P -1.3058 2.2472 12.4592
P 1.7705 2.5150 9.0217
P 2.5991 0.0072 12.4592
O -3.5880 0.9931 7.7598
O -0.8188 -1.2662 5.8301
O -2.8564 -2.4561 12.2476
O -3.3949 1.0715 10.2836
O 0.9340 -3.6038 7.7598
O -1.5111 0.0945 8.7782
O -0.6872 1.3423 5.8301
O -0.8143 -1.5495 11.1876
O 0.7695 -3.4759 10.2836
O 0.6737 -1.3559 8.7782
O 1.5060 -0.0760 5.8301
O -0.9560 -1.4633 13.7219
O -0.9348 1.4800 11.1876
O -1.5179 -0.0858 16.0835
O 0.8374 1.2614 8.7782
O -0.7893 1.5596 13.7219
O 1.7491 0.0696 11.1876
O -0.6989 3.7018 12.2476
O 0.8333 -1.2717 16.0835
O 2.6540 2.6108 7.7598
O 1.7453 -0.0962 13.7219
O 3.5553 -1.2456 12.2476
O 0.6847 1.3575 16.0835
O 2.6254 2.4044 10.2836


2.
48
Lattice="14.9712 0.0000 0.0000 0.0000 5.5443 0.0000 0.0000 0.0000 8.9779" Properties=species:S:1:pos:R:3 comment="GGA+U RbCr2FeO8, relaxed" crystal_system=orthorhombic formation_energy_ev_per_atom=-1.80 energy_corrected_mp2020_ev_per_atom=-7.49 pbc="T T T"
Rb 1.8033 1.3861 0.4544
Rb 5.6823 4.1583 4.9433
Rb 9.2889 1.3861 4.0345
Rb 13.1679 4.1583 8.5234
Cr 0.9479 4.1583 2.8585
Cr 2.4534 4.1583 6.7849
Cr 5.0323 1.3861 2.2960
Cr 6.5377 1.3861 7.3475
Cr 8.4335 4.1583 1.6304
Cr 9.9390 4.1583 6.6819
Cr 12.5179 1.3861 2.1929
Cr 14.0233 1.3861 6.1193
Fe 2.3420 1.3861 4.5506
Fe 5.1436 4.1583 0.0617
Fe 9.8276 1.3861 8.9162
Fe 12.6292 4.1583 4.4273
O 0.4479 1.3861 5.2167
O 0.6027 4.1583 1.2677
O 0.8682 4.1583 7.0707
O 1.8661 2.7852 3.1973
O 1.8661 5.5313 3.1973
O 2.8804 2.7923 5.8992
O 2.8804 5.5243 5.8992
O 3.2563 4.1583 8.2781
O 4.2293 1.3861 3.7892
O 4.6052 0.0201 1.4103
O 4.6052 2.7521 1.4103
O 5.6195 0.0130 7.6862
O 5.6195 2.7592 7.6862
O 6.6175 1.3861 2.5817
O 6.8829 1.3861 5.7566
O 7.0377 4.1583 0.7278
O 7.9335 1.3861 8.2501
O 8.0883 4.1583 3.2212
O 8.3538 4.1583 6.3961
O 9.3517 2.7852 1.2916
O 9.3517 5.5313 1.2916
O 10.3660 2.7923 7.5676
O 10.3660 5.5243 7.5676
O 10.7419 4.1583 5.1887
O 11.7149 1.3861 0.6997
O 12.0908 0.0201 3.0786
O 12.0908 2.7521 3.0786
O 13.1052 0.0130 5.7806
O 13.1052 2.7592 5.7806
O 14.1031 1.3861 1.9072
O 14.3686 1.3861 7.7101
O 14.5233 4.1583 3.7611


3.
80
Lattice="-5.9233 5.9233 5.9233 5.9233 -5.9233 5.9233 5.9233 5.9233 -5.9233" Properties=species:S:1:pos:R:3 comment="GGA+U Cr2Fe3Si3O12, relaxed" crystal_system=cubic formation_energy_ev_per_atom=-2.50 energy_corrected_mp2020_ev_per_atom=-8.52 pbc="T T T"
Cr 0.0000 0.0000 0.0000
Cr 2.9616 2.9616 -2.9616
Cr 2.9616 -2.9616 2.9616
Cr 5.9233 0.0000 0.0000
Cr -2.9616 2.9616 2.9616
Cr 0.0000 5.9233 0.0000
Cr 0.0000 0.0000 5.9233
Cr 2.9616 2.9616 2.9616
Fe 2.9616 1.4808 0.0000
Fe 5.9233 2.9616 -1.4808
Fe 1.4808 0.0000 2.9616
Fe 7.4041 0.0000 2.9616
Fe 0.0000 2.9616 1.4808
Fe 2.9616 -1.4808 5.9233
Fe 2.9616 7.4041 0.0000
Fe 5.9233 2.9616 4.4424
Fe -1.4808 5.9233 2.9616
Fe 4.4424 5.9233 2.9616
Fe 0.0000 2.9616 7.4041
Fe 2.9616 4.4424 5.9233
Si 8.8849 1.4808 0.0000
Si 5.9233 -2.9616 4.4424
Si 4.4424 5.9233 -2.9616
Si 4.4424 0.0000 2.9616
Si 2.9616 4.4424 0.0000
Si 5.9233 2.9616 1.4808
Si 0.0000 2.9616 4.4424
Si 2.9616 1.4808 5.9233
Si 1.4808 5.9233 2.9616
Si 1.4808 0.0000 8.8849
Si 0.0000 8.8849 1.4808
Si -2.9616 4.4424 5.9233
O 1.8584 -0.4137 0.6200
O 7.0265 3.5817 -3.3754
O 7.7817 0.4137 0.6200
O 7.0265 -2.3416 3.3754
O 5.5095 -0.6200 1.8584
O 9.2986 -1.1032 2.3416
O 0.6200 1.8584 -0.4137
O 8.2648 2.5479 -1.1032
O 3.5817 3.3754 -1.1032
O 5.3032 1.8584 0.4137
O -0.4137 0.6200 1.8584
O 3.3754 -1.1032 3.5817
O 5.5095 5.3032 -1.8584
O 3.3754 1.1032 2.3416
O 3.5817 -3.3754 7.0265
O 5.3032 -1.8584 5.5095
O 2.3416 3.3754 1.1032
O 6.5433 4.0648 0.4137
O 3.3754 7.0265 -2.3416
O 5.5095 0.6200 4.0648
O 1.8584 5.5095 -0.6200
O 7.0265 2.3416 2.5479
O 1.1032 2.3416 3.3754
O 1.8584 0.4137 5.3032
O 4.0648 5.5095 0.6200
O 4.8201 3.5817 2.5479
O -1.1032 3.5817 3.3754
O 4.0648 0.4137 6.5433
O 0.4137 5.3032 1.8584
O 2.5479 -1.1032 8.2648
O -0.6200 1.8584 5.5095
O 3.5817 2.5479 4.8201
O 0.6200 7.7817 0.4137
O 2.3416 9.2986 -1.1032
O 2.5479 4.8201 3.5817
O 0.4137 0.6200 7.7817
O 2.5479 7.0265 2.3416
O 6.3370 5.3032 4.0648
O 0.6200 4.0648 5.5095
O 2.3416 2.5479 7.0265
O -2.3416 3.3754 7.0265
O 5.3032 4.0648 6.3370
O -3.3754 7.0265 3.5817
O 0.4137 6.5433 4.0648
O -1.1032 8.2648 2.5479
O -1.8584 5.5095 5.3032
O -1.1032 2.3416 9.2986
O 4.0648 6.3370 5.3032


4.
48
Lattice="14.8194 0.0000 0.0000 0.0000 5.5525 0.0000 0.0000 0.0000 8.8744" Properties=species:S:1:pos:R:3 comment="GGA+U TlCr2FeO8, relaxed" crystal_system=orthorhombic formation_energy_ev_per_atom=-1.62 e_above_lowest_polymorph_mev_per_atom=12 energy_corrected_mp2020_ev_per_atom=-7.43 pbc="T T T"
Tl 1.7439 1.3881 0.5027
Tl 5.6658 4.1644 4.9399
Tl 9.1537 1.3881 3.9345
Tl 13.0755 4.1644 8.3717
Cr 0.9500 4.1644 2.8084
Cr 2.3776 4.1644 6.7130
Cr 5.0321 1.3881 2.2758
Cr 6.4597 1.3881 7.2456
Cr 8.3597 4.1644 1.6288
Cr 9.7873 4.1644 6.5987
Cr 12.4418 1.3881 2.1615
Cr 13.8694 1.3881 6.0660
Fe 2.3241 1.3881 4.4763
Fe 5.0856 4.1644 0.0391
Fe 9.7338 1.3881 8.8353
Fe 12.4954 4.1644 4.3981
O 0.4081 1.3881 5.1106
O 0.5453 4.1644 1.2254
O 0.7881 4.1644 6.9850
O 1.8737 2.7829 3.1044
O 1.8737 5.5458 3.1044
O 2.8024 2.8005 5.8272
O 2.8024 5.5282 5.8272
O 3.1836 4.1644 8.2037
O 4.2261 1.3881 3.7665
O 4.6073 0.0243 1.3900
O 4.6073 2.7520 1.3900
O 5.5360 0.0067 7.5416
O 5.5360 2.7696 7.5416
O 6.6216 1.3881 2.5478
O 6.8644 1.3881 5.6626
O 7.0016 4.1644 0.6734
O 7.8178 1.3881 8.2010
O 7.9551 4.1644 3.2118
O 8.1978 4.1644 6.3266
O 9.2834 2.7829 1.3328
O 9.2834 5.5458 1.3328
O 10.2121 2.8005 7.4844
O 10.2121 5.5282 7.4844
O 10.5934 4.1644 5.1079
O 11.6358 1.3881 0.6707
O 12.0170 0.0243 3.0472
O 12.0170 2.7520 3.0472
O 12.9457 0.0067 5.7700
O 12.9457 2.7696 5.7700
O 14.0313 1.3881 1.8894
O 14.2741 1.3881 7.6490
O 14.4113 4.1644 3.7638


5.
12
Lattice="4.4737 -2.7806 0.0000 4.4737 2.7806 0.0000 -0.6483 0.0000 8.2621" Properties=species:S:1:pos:R:3 comment="GGA+U TlCr2FeO8, relaxed" crystal_system=monoclinic formation_energy_ev_per_atom=-1.64 e_above_lowest_polymorph_mev_per_atom=0 energy_corrected_mp2020_ev_per_atom=-7.45 pbc="T T T"
Tl 0.0000 0.0000 0.0000
Cr 2.8510 0.0000 5.7351
Cr 5.4481 0.0000 2.5270
Fe -0.3241 0.0000 4.1311
O 1.6274 0.0000 4.6131
O 3.8015 1.3861 5.5430
O 4.4976 1.3861 2.7191
O 2.2496 0.0000 7.2498
O 6.0495 0.0000 1.0123
O 3.8015 -1.3861 5.5430
O 4.4976 -1.3861 2.7191
O 6.6717 0.0000 3.6490


6.
14
Lattice="5.3431 -2.8099 0.0000 5.3431 2.8099 0.0000 -3.2669 0.0000 7.0354" Properties=species:S:1:pos:R:3 comment="GGA+U TlCr2FeO10, relaxed" crystal_system=monoclinic formation_energy_ev_per_atom=-1.06 energy_corrected_mp2020_ev_per_atom=-6.75 pbc="T T T"
Tl 0.0000 0.0000 0.0000
Cr 3.5009 0.0000 1.4976
Cr 3.9184 0.0000 5.5379
Fe -1.6334 0.0000 3.5177
O 0.0186 0.0000 4.0656
O 4.2086 1.4229 2.1471
O 1.8673 0.0000 1.7109
O 3.2107 1.4229 4.8884
O 0.5595 0.0000 6.9477
O 6.8597 0.0000 0.0878
O 4.2086 -1.4229 2.1471
O 5.5520 0.0000 5.3245
O 3.2107 -1.4229 4.8884
O 7.4007 0.0000 2.9698


7.
24
Lattice="5.0228 -4.5439 0.0000 5.0228 4.5439 0.0000 -2.0828 0.0000 6.6308" Properties=species:S:1:pos:R:3 comment="GGA+U V4CrFe3O16, relaxed" crystal_system=monoclinic formation_energy_ev_per_atom=-2.13 energy_corrected_mp2020_ev_per_atom=-8.40 pbc="T T T"
V 5.0228 -4.5437 0.0000
V 5.0228 0.0000 0.0000
V 1.8939 -2.2616 2.6669
V 6.0691 -2.2616 3.9638
Cr 3.9815 0.6322 3.3154
Fe 2.6737 2.2721 0.8989
Fe 3.9815 3.9701 3.3154
Fe 5.2892 2.2721 5.7319
O 1.2099 0.9472 0.7244
O 0.2698 0.8423 3.4893
O 1.2068 2.2728 5.6854
O 4.1470 3.6770 1.3288
O 2.6709 2.2578 3.0402
O 3.8159 3.6770 5.3019
O 4.1424 0.8658 1.3272
O 5.2920 2.2578 3.5905
O 3.8205 0.8658 5.3036
O 6.7561 2.2728 0.9453
O 2.6789 -0.8335 3.1428
O 1.7293 -0.9460 5.9048
O 5.2840 -0.8335 3.4880
O 6.2336 -0.9460 0.7260
O 6.7530 0.9472 5.9063
O 7.6931 0.8423 3.1415


8.
18
Lattice="5.0961 -4.6325 0.0000 5.0961 4.6325 0.0000 -1.9608 0.0000 5.2813" Properties=species:S:1:pos:R:3 comment="GGA+U V4CrFeO12, relaxed" crystal_system=monoclinic formation_energy_ev_per_atom=-2.24 energy_corrected_mp2020_ev_per_atom=-8.57 pbc="T T T"
V 2.0942 1.8627 0.0252
V 1.0804 0.0000 2.6348
V 6.1372 1.8627 5.2560
V 7.1510 0.0000 2.6465
Cr 5.0961 0.1306 0.0000
Fe 4.1157 1.7095 2.6406
O 2.5805 2.9737 2.6865
O 0.0389 0.9067 3.6810
O 1.0322 0.7158 1.0474
O 3.7962 1.5659 0.6221
O 5.6509 2.9737 2.5948
O 2.7325 0.1981 3.2626
O 4.4352 1.5659 4.6592
O 3.6363 -1.2013 0.2690
O 5.4990 0.1981 2.0186
O 4.5951 -1.2013 5.0123
O 8.1925 0.9067 1.6003
O 7.1993 0.7158 4.2339


9.
20
Lattice="5.3325 0.0000 0.0000 0.0000 5.6241 0.0000 -5.3227 0.0000 7.6954" Properties=species:S:1:pos:R:3 comment="GGA+U Y2CrFeO6, relaxed" crystal_system=monoclinic formation_energy_ev_per_atom=-3.02 energy_corrected_mp2020_ev_per_atom=-9.10 pbc="T T T"
Y -0.0953 0.3769 1.9235
Y -2.7566 2.4351 5.7712
Y 2.7664 3.1890 1.9242
Y 0.1051 5.2471 5.7719
Cr -2.6614 0.0000 3.8477
Cr 0.0000 2.8120 0.0000
Fe 2.6663 0.0000 0.0000
Fe 0.0049 2.8120 3.8477
O -4.3024 1.1110 7.2519
O -1.6410 1.7010 3.4042
O -3.6924 3.9123 7.2502
O -1.0310 4.5238 3.4025
O -2.0617 0.2277 5.7614
O 0.5997 2.5844 1.9137
O -0.5899 3.0397 5.7817
O 2.0715 5.3964 1.9340
O 1.0408 1.1003 4.2929
O 3.7022 1.7118 0.4452
O 1.6508 3.9230 4.2912
O 4.3122 4.5130 0.4435


10.
14
Lattice="3.0129 1.7395 4.9362 -3.0129 1.7395 4.9362 0.0000 -3.4790 4.9362" Properties=species:S:1:pos:R:3 comment="GGA+U Zn2CrFe3O8, relaxed" crystal_system=trigonal formation_energy_ev_per_atom=-1.87 energy_corrected_mp2020_ev_per_atom=-7.38 pbc="T T T"
Zn 0.0000 0.0000 1.8550
Zn 0.0000 0.0000 12.9537
Cr 0.0000 0.0000 7.4044
Fe -1.5065 -0.8698 4.9362
Fe -1.5065 0.8698 9.8725
Fe 0.0000 1.7395 4.9362
O 0.0000 0.0000 3.8535
O 0.0000 -1.5886 6.1231
O -1.3758 0.7943 6.1231
O -1.3758 -0.7943 8.6856
O 1.3758 0.7943 6.1231
O 1.3758 -0.7943 8.6856
O 0.0000 1.5886 8.6856
O 0.0000 0.0000 10.9552